1.
Crystalline BeH8N2F4 at its relaxed geometry. Source: the Materials Project database, functional PBE-GGA.

Computed properties:
The MP2020-corrected energy is -5.189 eV per atom. For the formation energy, the calculation gives -1.509 eV per atom. The value obtained for the polymorph energy (0 for the lowest one) is 9.7 meV per atom. As for the space group: Pnma.

a = 6.1048 Å, b = 7.5137 Å, c = 10.5820 Å
α = 90.00°, β = 90.00°, γ = 90.00°
Closest atoms and distances in Å follow each position.
Atoms (fractional coordinates):
1 Be 0.2500 0.7496 0.9172  4 F 1.56-1.57
2 Be 0.2500 0.2496 0.5828  4 F 1.56-1.57
3 Be 0.7500 0.2504 0.0828  4 F 1.56-1.57
4 Be 0.7500 0.7504 0.4172  4 F 1.56-1.57
5 F 0.7500 0.7183 0.5630  1 Be 1.56, 1 H 1.70
6 F 0.0352 0.3287 0.6390  1 Be 1.56
7 F 0.9648 0.1713 0.1390  1 Be 1.56
8 F 0.2500 0.7817 0.0630  1 Be 1.56, 1 H 1.70
9 F 0.7500 0.9550 0.3860  1 Be 1.57, 1 H 1.60
10 F 0.5352 0.6713 0.3610  1 Be 1.56
11 F 0.2500 0.2817 0.4370  1 Be 1.56, 1 H 1.70
12 F 0.4648 0.8287 0.8610  1 Be 1.56
13 F 0.5352 0.1713 0.1390  1 Be 1.56
14 F 0.4648 0.3287 0.6390  1 Be 1.56
15 F 0.2500 0.5450 0.8860  1 Be 1.57, 1 H 1.60
16 F 0.0352 0.8287 0.8610  1 Be 1.56
17 F 0.7500 0.4550 0.1140  1 Be 1.57, 1 H 1.60
18 F 0.9648 0.6713 0.3610  1 Be 1.56
19 F 0.7500 0.2183 0.9370  1 Be 1.56, 1 H 1.70
20 F 0.2500 0.0450 0.6140  1 Be 1.57, 1 H 1.60
21 H 0.2500 0.5029 0.2851  1 N 1.03
22 H 0.6125 0.8303 0.0366  1 N 1.03
23 H 0.6125 0.3303 0.4634  1 N 1.03
24 H 0.7500 0.4971 0.7149  1 N 1.03
25 H 0.2500 0.1166 0.8308  1 N 1.02
26 H 0.2500 0.0029 0.2149  1 N 1.03
27 H 0.6137 0.1138 0.6746  1 N 1.04
28 H 0.7500 0.1679 0.3853  1 N 1.06
29 H 0.3863 0.3862 0.1746  1 N 1.04
30 H 0.2500 0.0796 0.3639  1 N 1.05
31 H 0.7500 0.3834 0.3308  1 N 1.02
32 H 0.1137 0.3862 0.1746  1 N 1.04
33 H 0.7500 0.6679 0.1147  1 N 1.06
34 H 0.7500 0.9204 0.6361  1 N 1.05
35 H 0.6137 0.6138 0.8254  1 N 1.04
36 H 0.2500 0.8321 0.6147  1 N 1.06
37 H 0.3875 0.6697 0.5366  1 N 1.03
38 H 0.3863 0.8862 0.3254  1 N 1.04
39 H 0.8863 0.1138 0.6746  1 N 1.04
40 H 0.2500 0.5796 0.1361  1 N 1.05
41 H 0.1125 0.1697 0.9634  1 N 1.03
42 H 0.3875 0.1697 0.9634  1 N 1.03
43 H 0.1137 0.8862 0.3254  1 N 1.04
44 H 0.8875 0.8303 0.0366  1 N 1.03
45 H 0.7500 0.8834 0.1692  1 N 1.02
46 H 0.1125 0.6697 0.5366  1 N 1.03
47 H 0.8875 0.3303 0.4634  1 N 1.03
48 H 0.2500 0.3321 0.8853  1 N 1.06
49 H 0.8863 0.6138 0.8254  1 N 1.04
50 H 0.2500 0.6166 0.6692  1 N 1.02
51 H 0.7500 0.9971 0.7851  1 N 1.03
52 H 0.7500 0.4204 0.8639  1 N 1.05
53 N 0.2500 0.4647 0.1921  4 H 1.03-1.05
54 N 0.2500 0.1959 0.9096  4 H 1.02-1.06
55 N 0.7500 0.5353 0.8079  4 H 1.03-1.05
56 N 0.2500 0.9647 0.3079  4 H 1.03-1.05
57 N 0.2500 0.6959 0.5904  4 H 1.02-1.06
58 N 0.7500 0.0353 0.6921  4 H 1.03-1.05
59 N 0.7500 0.8041 0.0904  4 H 1.02-1.06
60 N 0.7500 0.3041 0.4096  4 H 1.02-1.06



2.
Crystalline Na5Y3ZrSi3S3O24 at its relaxed geometry. Source: the Materials Project database, functional PBE-GGA.

Computed properties:
The MP2020-corrected energy is -7.507 eV per atom. For the formation energy, the calculation gives -2.841 eV per atom. As for the space group: P1.

a = 9.3465 Å, b = 9.3528 Å, c = 23.6774 Å
α = 90.45°, β = 89.96°, γ = 119.99°
Closest atoms and distances in Å follow each position.
Atoms (fractional coordinates):
1 Si 0.2975 0.3023 0.7494  4 O 1.62-1.67
2 Si 0.9665 0.6324 0.0831  4 O 1.63-1.70
3 Si 0.6683 0.6362 0.5839  4 O 1.62-1.70
4 Si 0.6326 0.6683 0.9181  4 O 1.60-1.68
5 Si 0.0300 0.6656 0.4174  4 O 1.61-1.70
6 Si 0.0009 0.3000 0.2507  4 O 1.63-1.69
7 Si 0.6322 0.9703 0.4163  4 O 1.63-1.67
8 Si 0.6977 0.0003 0.7516  4 O 1.62-1.70
9 Si 0.3365 0.9639 0.9162  4 O 1.62-1.68
10 O 0.6785 0.1420 0.0321  1 S 1.48
11 O 0.4714 0.1182 0.6343  1 S 1.48
12 O 0.9634 0.1758 0.5833  1 S 1.49
13 O 0.5213 0.8736 0.0791  1 S 1.48
14 O 0.3107 0.4473 0.4680  1 S 1.47
15 O 0.4624 0.3165 0.0317  1 S 1.50
16 O 0.3642 0.8737 0.8588  1 Si 1.68
17 O 0.8683 0.3637 0.9225  1 S 1.52
18 O 0.1427 0.6790 0.4706  1 Si 1.61
19 O 0.0101 0.1936 0.1975  1 Si 1.63
20 O 0.5207 0.6418 0.8597  1 Si 1.67
21 O 0.6748 0.5266 0.5274  1 Si 1.70
22 O 0.8203 0.0302 0.0846  1 S 1.49
23 O 0.7897 0.8086 0.2007  1 S 1.48
24 O 0.5091 0.8270 0.7566  1 Si 1.70
25 O 0.1246 0.4766 0.5765  1 S 1.47
26 O 0.0056 0.2061 0.9117  1 S 1.48
27 O 0.6486 0.1175 0.1348  1 S 1.49
28 O 0.4895 0.3553 0.4247  1 S 1.49
29 O 0.8421 0.5196 0.0284  1 Si 1.70
30 O 0.0985 0.6225 0.3593  1 Si 1.65
31 O 0.4675 0.1475 0.5325  1 S 1.49
32 O 0.3004 0.8405 0.9686  1 Si 1.62
33 O 0.3595 0.4823 0.0782  1 S 1.47
34 O 0.9765 0.7784 0.8030  1 S 1.48
35 O 0.0337 0.8111 0.7019  1 S 1.49
36 O 0.5484 0.8467 0.4698  1 Si 1.63
37 O 0.1342 0.4501 0.9688  1 S 1.47
38 O 0.6552 0.1570 0.4268  1 Si 1.67
39 O 0.8402 0.4952 0.4252  1 Si 1.70
40 O 0.8045 0.7783 0.3019  1 S 1.50
41 O 0.8790 0.5348 0.1422  1 Si 1.65
42 O 0.5306 0.8895 0.3571  1 Si 1.64
43 O 0.8337 0.8224 0.5811  1 Si 1.65
44 O 0.9773 0.8131 0.0828  1 Si 1.64
45 O 0.3644 0.8798 0.5769  1 S 1.49
46 O 0.3138 0.8482 0.2536  1 S 1.51
47 O 0.1906 0.2147 0.6924  1 Si 1.63
48 O 0.6607 0.1528 0.7454  1 Si 1.64
49 O 0.2188 0.0183 0.3011  1 S 1.47
50 O 0.9770 0.1974 0.3097  1 Si 1.65
51 O 0.8578 0.5403 0.7443  1 S 1.48
52 O 0.4689 0.3461 0.1339  1 S 1.47
53 O 0.1919 0.2062 0.4106  1 S 1.48
54 O 0.5042 0.6591 0.5807  1 Si 1.65
55 O 0.4657 0.1450 0.2445  1 S 1.49
56 O 0.8547 0.3150 0.5300  1 S 1.52
57 O 0.6588 0.5357 0.6407  1 Si 1.62
58 O 0.5389 0.6927 0.9706  1 Si 1.60
59 O 0.1167 0.4802 0.8672  1 S 1.49
60 O 0.8267 0.3127 0.2480  1 Si 1.69
61 O 0.1926 0.9753 0.1995  1 S 1.48
62 O 0.8217 0.9976 0.4131  1 Si 1.66
63 O 0.3154 0.4876 0.7583  1 Si 1.67
64 O 0.3703 0.4758 0.3674  1 S 1.49
65 O 0.6832 0.5369 0.2445  1 S 1.49
66 O 0.9953 0.8196 0.4123  1 Si 1.63
67 O 0.2098 0.1824 0.0835  1 S 1.48
68 O 0.1452 0.6422 0.0809  1 Si 1.63
69 O 0.4900 0.3367 0.7462  1 Si 1.66
70 O 0.2097 0.0258 0.5840  1 S 1.47
71 O 0.5154 0.1412 0.9254  1 Si 1.68
72 O 0.1717 0.9802 0.9110  1 Si 1.63
73 O 0.8179 0.8286 0.9124  1 Si 1.63
74 O 0.8010 0.0173 0.8087  1 Si 1.62
75 O 0.8769 0.3495 0.6320  1 S 1.46
76 O 0.1599 0.4906 0.2516  1 Si 1.65
77 O 0.6554 0.5014 0.9233  1 Si 1.68
78 O 0.2195 0.1779 0.8023  1 Si 1.62
79 O 0.5409 0.6956 0.2549  1 S 1.48
80 O 0.7761 0.9616 0.6949  1 Si 1.65
81 O 0.1567 0.6906 0.7583  1 S 1.48
82 S 0.7033 0.7046 0.2497  4 O 1.48-1.50
83 S 0.9583 0.3326 0.5817  4 O 1.46-1.52
84 S 0.3393 0.3712 0.4180  4 O 1.47-1.49
85 S 0.0065 0.7051 0.7518  4 O 1.48-1.49
86 S 0.2968 0.9997 0.2496  4 O 1.47-1.51
87 S 0.3749 0.3335 0.0823  4 O 1.47-1.50
88 S 0.3751 0.0439 0.5819  4 O 1.47-1.49
89 S 0.6673 0.0411 0.0817  4 O 1.48-1.49
90 S 0.0360 0.3763 0.9174  4 O 1.47-1.52
91 Na 0.9785 0.6881 0.9225  4 O 2.42-2.67
92 Na 0.6409 0.3149 0.8312  4 O 2.53-2.74
93 Na 0.7075 0.6882 0.4257  2 O 2.36-2.55
94 Na 0.6712 0.3175 0.3350  4 O 2.53-2.78
95 Na 0.6668 0.9492 0.5847  4 O 2.36-2.57
96 Na 0.0078 0.9780 0.9981  3 O 2.47-2.59
97 Na 0.6281 0.6366 0.7448  5 O 2.43-2.71
98 Na 0.3702 0.0145 0.7589  3 O 2.38-2.66
99 Na 0.9951 0.9679 0.5015  3 O 2.38-2.65
100 Na 0.6861 0.0109 0.9114  4 O 2.47-2.65
101 Na 0.0001 0.6193 0.2472  2 O 2.34-2.49
102 Na 0.3364 0.6353 0.6686  3 O 2.50-2.69
103 Na 0.2944 0.6303 0.1603  3 O 2.38-2.62
104 Na 0.6522 0.0118 0.2578  5 O 2.46-2.74
105 Na 0.9584 0.3019 0.4092  5 O 2.47-2.74
106 Y 0.6638 0.3384 0.6852  6 O 2.15-2.32
107 Y 0.3365 0.6733 0.5166  6 O 2.14-2.39
108 Y 0.9960 0.0015 0.6516  4 O 2.14-2.32
109 Y 0.6787 0.3399 0.1805  4 O 2.06-2.28
110 Y 0.9989 0.0032 0.3515  6 O 2.17-2.32
111 Y 0.0028 0.0040 0.1434  6 O 2.15-2.35
112 Y 0.3218 0.6627 0.3199  5 O 2.14-2.38
113 Y 0.0096 0.0137 0.8499  6 O 2.12-2.33
114 Y 0.3326 0.6749 0.0182  5 O 2.09-2.31
115 Zr 0.3544 0.6715 0.8169  4 O 1.99-2.09
116 Zr 0.6731 0.3430 0.4825  6 O 2.01-2.24
117 Zr 0.6616 0.3454 0.9800  4 O 2.01-2.13



3.
Crystalline Tb3Ge13Rh4 at its relaxed geometry. Source: the Materials Project database, functional PBE-GGA.

Computed properties:
For the formation energy, the calculation gives -0.547 eV per atom. As for the space group: Pm-3n.

a = 9.0595 Å, b = 9.0595 Å, c = 9.0595 Å
α = 90.00°, β = 90.00°, γ = 90.00°
Closest atoms and distances in Å follow each position.
Atoms (fractional coordinates):
1 Tb 0.5000 0.2500 0.0000  12 Ge 3.14-3.24, 4 Rh 3.20
2 Tb 0.0000 0.5000 0.2500  12 Ge 3.14-3.24, 4 Rh 3.20
3 Tb 0.2500 0.0000 0.5000  12 Ge 3.14-3.24, 4 Rh 3.20
4 Tb 0.0000 0.5000 0.7500  12 Ge 3.14-3.24, 4 Rh 3.20
5 Tb 0.7500 0.0000 0.5000  12 Ge 3.14-3.24, 4 Rh 3.20
6 Tb 0.5000 0.7500 0.0000  12 Ge 3.14-3.24, 4 Rh 3.20
7 Ge 0.0000 0.0000 0.0000  12 Ge 3.11
8 Ge 0.5000 0.8099 0.3529  2 Rh 2.51, 1 Ge 2.67
9 Ge 0.0000 0.1471 0.3099  2 Rh 2.51, 1 Ge 2.67
10 Ge 0.8529 0.3099 0.0000  2 Rh 2.51, 1 Ge 2.67
11 Ge 0.3529 0.5000 0.1901  2 Rh 2.51, 1 Ge 2.67
12 Ge 0.0000 0.8529 0.6901  2 Rh 2.51, 1 Ge 2.67
13 Ge 0.5000 0.5000 0.5000  12 Ge 3.11
14 Ge 0.1471 0.6901 0.0000  2 Rh 2.51, 1 Ge 2.67
15 Ge 0.6901 0.0000 0.8529  2 Rh 2.51, 1 Ge 2.67
16 Ge 0.1471 0.3099 0.0000  2 Rh 2.51, 1 Ge 2.67
17 Ge 0.5000 0.1901 0.3529  2 Rh 2.51, 1 Ge 2.67
18 Ge 0.8529 0.6901 0.0000  2 Rh 2.51, 1 Ge 2.67
19 Ge 0.1901 0.3529 0.5000  2 Rh 2.51, 1 Ge 2.67
20 Ge 0.3099 0.0000 0.8529  2 Rh 2.51, 1 Ge 2.67
21 Ge 0.6471 0.5000 0.1901  2 Rh 2.51, 1 Ge 2.67
22 Ge 0.3529 0.5000 0.8099  2 Rh 2.51, 1 Ge 2.67
23 Ge 0.0000 0.1471 0.6901  2 Rh 2.51, 1 Ge 2.67
24 Ge 0.8099 0.6471 0.5000  2 Rh 2.51, 1 Ge 2.67
25 Ge 0.8099 0.3529 0.5000  2 Rh 2.51, 1 Ge 2.67
26 Ge 0.5000 0.8099 0.6471  2 Rh 2.51, 1 Ge 2.67
27 Ge 0.1901 0.6471 0.5000  2 Rh 2.51, 1 Ge 2.67
28 Ge 0.5000 0.1901 0.6471  2 Rh 2.51, 1 Ge 2.67
29 Ge 0.6901 0.0000 0.1471  2 Rh 2.51, 1 Ge 2.67
30 Ge 0.3099 0.0000 0.1471  2 Rh 2.51, 1 Ge 2.67
31 Ge 0.6471 0.5000 0.8099  2 Rh 2.51, 1 Ge 2.67
32 Ge 0.0000 0.8529 0.3099  2 Rh 2.51, 1 Ge 2.67
33 Rh 0.7500 0.7500 0.7500  6 Ge 2.51
34 Rh 0.7500 0.2500 0.2500  6 Ge 2.51
35 Rh 0.7500 0.2500 0.7500  6 Ge 2.51
36 Rh 0.2500 0.7500 0.2500  6 Ge 2.51
37 Rh 0.2500 0.7500 0.7500  6 Ge 2.51
38 Rh 0.7500 0.7500 0.2500  6 Ge 2.51
39 Rh 0.2500 0.2500 0.7500  6 Ge 2.51
40 Rh 0.2500 0.2500 0.2500  6 Ge 2.51